Compound: Cu9Se5
Source: Materials Project
Functional: PBE-GGA
Structure: optimized geometry

Computed properties:
Total energy in eV per atom: -3.9080
Crystal system: triclinic
Formation energy from the elements in meV per atom: -193
Energy above the lowest structure with this stoichiometry in meV per atom: 14
V in Å³/cell: 245.9

Lattice parameters (Å, degrees): 5.8058 7.1161 7.1306 79.33 66.01 66.07
Closest atoms and distances in Å follow each position.
Element x y z (fractional)
1 Cu 0.0000 0.0000 0.0000  4 Se 2.44-2.64, 2 Cu 2.55-2.64
2 Cu 0.0114 0.6908 0.4230  3 Se 2.41-2.43, 3 Cu 2.51-2.57
3 Cu 0.1955 0.3864 0.2030  4 Se 2.49-2.66, 3 Cu 2.51-2.58
4 Cu 0.2135 0.0842 0.6206  3 Se 2.39-2.41, 3 Cu 2.55-2.61
5 Cu 0.4105 0.7924 0.3730  4 Se 2.49-2.70, 3 Cu 2.51-2.57
6 Cu 0.5319 0.0817 0.9662  3 Se 2.40-2.41, 3 Cu 2.57-2.64
7 Cu 0.6169 0.1826 0.5853  4 Se 2.43-2.61, 2 Cu 2.57-2.61
8 Cu 0.7391 0.4796 0.1628  3 Se 2.40-2.45, 3 Cu 2.51-2.58
9 Cu 0.7842 0.5901 0.7921  4 Se 2.48-2.49, 2 Cu 2.54-2.55
10 Se 0.1416 0.2951 0.8819  7 Cu 2.40-2.66
11 Se 0.3371 0.6913 0.0796  6 Cu 2.41-2.57
12 Se 0.5563 0.0923 0.2914  6 Cu 2.39-2.49
13 Se 0.7283 0.4900 0.5008  6 Cu 2.40-2.59
14 Se 0.9364 0.8854 0.6984  6 Cu 2.39-2.64

***

Compound: CuSe
Source: Materials Project
Functional: PBE-GGA
Structure: optimized geometry

Computed properties:
Total energy in eV per atom: -3.6942
Crystal system: hexagonal
Formation energy from the elements in meV per atom: -133
V in Å³/cell: 236.6

Lattice parameters (Å, degrees): 3.9513 3.9513 17.5015 90.00 90.00 120.00
Closest atoms and distances in Å follow each position.
Element x y z (fractional)
1 Cu 0.3333 0.6667 0.0377  3 Se 2.44, 3 Cu 2.64
2 Cu 0.3333 0.6667 0.4623  3 Se 2.44, 3 Cu 2.64
3 Cu 0.3333 0.6667 0.7500  3 Se 2.28
4 Cu 0.6667 0.3333 0.2500  3 Se 2.28
5 Cu 0.6667 0.3333 0.5377  3 Se 2.44, 3 Cu 2.64
6 Cu 0.6667 0.3333 0.9623  3 Se 2.44, 3 Cu 2.64
7 Se 0.0000 0.0000 0.0869  3 Cu 2.44
8 Se 0.0000 0.0000 0.4131  3 Cu 2.44
9 Se 0.0000 0.0000 0.5869  3 Cu 2.44
10 Se 0.0000 0.0000 0.9131  3 Cu 2.44
11 Se 0.3333 0.6667 0.2500  3 Cu 2.28
12 Se 0.6667 0.3333 0.7500  3 Cu 2.28

***

Compound: Cu2Se
Source: Materials Project
Functional: PBE-GGA
Structure: optimized geometry

Computed properties:
Total energy in eV per atom: -3.8909
Crystal system: orthorhombic
Formation energy from the elements in meV per atom: -150
V in Å³/cell: 51.8

Lattice parameters (Å, degrees): 4.2852 4.2852 4.2852 124.49 83.09 123.64
Closest atoms and distances in Å follow each position.
Element x y z (fractional)
1 Cu 0.2083 0.0000 0.2083  3 Se 2.38-2.46
2 Cu 0.7917 0.0000 0.7917  3 Se 2.38-2.46
3 Se 0.1358 0.6358 0.5000  6 Cu 2.38-2.46

***

Compound: CuSe
Source: Materials Project
Functional: PBE-GGA
Structure: optimized geometry

Computed properties:
Total energy in eV per atom: -3.8766
Crystal system: tetragonal
Formation energy from the elements in meV per atom: -315
V in Å³/cell: 77.2

Lattice parameters (Å, degrees): 3.7663 3.7663 5.4422 90.00 90.00 90.00
Closest atoms and distances in Å follow each position.
Element x y z (fractional)
1 Cu 0.2500 0.7500 0.0000  4 Se 2.44, 4 Cu 2.66
2 Cu 0.7500 0.2500 0.0000  4 Se 2.44, 4 Cu 2.66
3 Se 0.2500 0.2500 0.2847  4 Cu 2.44
4 Se 0.7500 0.7500 0.7153  4 Cu 2.44

***

Compound: Sm3CuSiSe7
Source: Materials Project
Functional: PBE-GGA
Structure: optimized geometry

Computed properties:
Total energy in eV per atom: -5.3564
Crystal system: hexagonal
Formation energy from the elements in meV per atom: -1619
V in Å³/cell: 581.5

Lattice parameters (Å, degrees): 10.5470 10.5470 6.0364 90.00 90.00 120.00
Closest atoms and distances in Å follow each position.
Element x y z (fractional)
1 Sm 0.1271 0.3550 0.0000  8 Se 2.94-3.24, 1 Cu 3.29
2 Sm 0.2279 0.8729 0.0000  8 Se 2.94-3.24, 1 Cu 3.29
3 Sm 0.3550 0.2279 0.5000  8 Se 2.94-3.24, 1 Cu 3.29
4 Sm 0.6450 0.7721 0.0000  8 Se 2.94-3.24, 1 Cu 3.29
5 Sm 0.7721 0.1271 0.5000  8 Se 2.94-3.24, 1 Cu 3.29
6 Sm 0.8729 0.6450 0.5000  8 Se 2.94-3.24, 1 Cu 3.29
7 Cu 0.0000 0.0000 0.4813  3 Se 2.38
8 Cu 0.0000 0.0000 0.9813  3 Se 2.38
9 Si 0.3333 0.6667 0.5880  4 Se 2.27-2.31
10 Si 0.6667 0.3333 0.0880  4 Se 2.27-2.31
11 Se 0.0921 0.2574 0.4851  1 Cu 2.38
12 Se 0.1044 0.5836 0.7401  1 Si 2.31
13 Se 0.1653 0.9079 0.4851  1 Cu 2.38
14 Se 0.2574 0.1653 0.9851  1 Cu 2.38
15 Se 0.3333 0.6667 0.2122  1 Si 2.27
16 Se 0.4164 0.5208 0.7401  1 Si 2.31
17 Se 0.4792 0.8956 0.7401  1 Si 2.31
18 Se 0.5208 0.1044 0.2401  1 Si 2.31
19 Se 0.5836 0.4792 0.2401  1 Si 2.31
20 Se 0.6667 0.3333 0.7122  1 Si 2.27
21 Se 0.7426 0.8347 0.4851  1 Cu 2.38
22 Se 0.8347 0.0921 0.9851  1 Cu 2.38
23 Se 0.8956 0.4164 0.2401  1 Si 2.31
24 Se 0.9079 0.7426 0.9851  1 Cu 2.38

***

Compound: Tb3CuSiSe7
Source: Materials Project
Functional: PBE-GGA
Structure: optimized geometry

Computed properties:
Total energy in eV per atom: -5.3104
Crystal system: hexagonal
Formation energy from the elements in meV per atom: -1594
V in Å³/cell: 563.2

Lattice parameters (Å, degrees): 10.3830 10.3830 6.0320 90.00 90.00 120.00
Closest atoms and distances in Å follow each position.
Element x y z (fractional)
1 Tb 0.1299 0.3553 0.0000  7 Se 2.89-3.16
2 Tb 0.2254 0.8701 0.0000  7 Se 2.89-3.16
3 Tb 0.3553 0.2254 0.5000  7 Se 2.89-3.16
4 Tb 0.6447 0.7746 0.0000  7 Se 2.89-3.16
5 Tb 0.7746 0.1299 0.5000  7 Se 2.89-3.16
6 Tb 0.8701 0.6447 0.5000  7 Se 2.89-3.16
7 Cu 0.0000 0.0000 0.4431  3 Se 2.37
8 Cu 0.0000 0.0000 0.9431  3 Se 2.37
9 Si 0.3333 0.6667 0.5886  4 Se 2.27-2.31
10 Si 0.6667 0.3333 0.0886  4 Se 2.27-2.31
11 Se 0.0970 0.2606 0.4702  1 Cu 2.37
12 Se 0.1015 0.5812 0.7439  1 Si 2.31
13 Se 0.1636 0.9030 0.4702  1 Cu 2.37
14 Se 0.2606 0.1636 0.9702  1 Cu 2.37
15 Se 0.3333 0.6667 0.2119  1 Si 2.27
16 Se 0.4188 0.5203 0.7439  1 Si 2.31
17 Se 0.4797 0.8985 0.7439  1 Si 2.31
18 Se 0.5203 0.1015 0.2439  1 Si 2.31
19 Se 0.5812 0.4797 0.2439  1 Si 2.31
20 Se 0.6667 0.3333 0.7119  1 Si 2.27
21 Se 0.7394 0.8364 0.4702  1 Cu 2.37
22 Se 0.8364 0.0970 0.9702  1 Cu 2.37
23 Se 0.8985 0.4188 0.2439  1 Si 2.31
24 Se 0.9030 0.7394 0.9702  1 Cu 2.37